Compound: Li4Fe5P6O22
Source: the Materials Project database
Functional: PBE with a Hubbard U
Structure: relaxed

formation enthalpy at 0 K	-2.44	eV/atom
raw total energy	-6.90	eV/atom
space group	No. 14
spin magnetization	0.5405	μB/atom

```
74
Lattice="6.567 0.000 0.000 0.000 10.946 0.000 0.000 2.986 12.135" Properties=species:S:1:pos:R:3 pbc="T T T"
O 1.543 1.471 0.138
O 4.830 8.372 5.544
O 1.707 4.054 9.126
O 5.821 8.883 7.851
O 4.860 9.878 3.009
O 1.345 12.523 8.817
O 1.577 9.527 9.126
O 1.216 9.310 0.026
O 2.537 10.522 4.284
O 6.138 2.982 9.992
O 1.737 5.560 6.591
O 4.826 6.988 11.997
O 5.351 4.622 12.109
O 0.624 3.169 1.955
O 2.855 5.477 2.143
O 1.741 6.944 0.138
O 5.222 1.409 3.318
O 3.264 5.208 4.638
O 0.746 5.049 4.284
O 3.019 2.360 2.000
O 4.628 6.882 3.318
O 5.064 12.096 7.442
O 3.303 8.724 7.497
O 3.907 5.290 10.180
O 2.660 8.642 1.955
O 6.303 6.099 10.136
O 1.503 1.836 4.694
O 1.547 11.033 6.591
O 5.024 12.460 11.997
O 5.943 10.763 10.180
O 0.264 7.833 2.000
O 5.020 2.899 5.544
O 1.939 7.050 8.817
O 4.030 3.410 7.851
O 6.547 3.251 7.497
O 3.712 8.455 9.992
O 3.547 11.572 10.136
O 4.786 6.623 7.442
O 0.020 10.680 4.638
O 2.067 3.837 0.026
O 4.990 4.405 3.009
O 1.781 7.309 4.694
O 4.500 10.095 12.109
O 0.429 10.950 2.143
P 5.107 5.771 11.063
P 1.460 8.161 1.073
P 1.823 2.688 1.073
P 2.625 8.427 8.929
P 4.763 8.113 7.044
P 5.087 2.640 7.044
P 5.908 10.977 3.206
P 4.743 11.244 11.063
P 3.942 5.504 3.206
P 0.659 2.955 8.929
P 1.804 5.819 5.091
P 1.479 11.292 5.091
Fe 0.000 0.000 0.000
Fe 4.789 8.276 1.710
Fe 3.283 5.473 0.000
Fe 3.431 8.600 4.026
Fe 3.136 5.331 8.109
Fe 1.778 5.656 10.425
Fe 6.420 3.128 4.026
Fe 5.061 2.804 1.710
Fe 1.505 11.128 10.425
Fe 0.147 10.804 8.109
Li 0.888 5.277 2.268
Li 0.164 6.206 8.019
Li 4.172 3.182 9.867
Li 5.679 8.655 9.867
Li 2.395 10.750 2.268
Li 3.447 2.253 4.116
Li 6.403 7.726 4.116
Li 3.119 11.679 8.019
```



Compound: LiFeP2O7
Source: the Materials Project database
Functional: PBE with a Hubbard U
Structure: relaxed

formation enthalpy at 0 K	-2.45	eV/atom
raw total energy	-6.89	eV/atom
space group	No. 1
spin magnetization	0.4545	μB/atom

```
88
Lattice="9.728 0.000 0.000 0.013 9.813 0.000 2.330 0.048 10.990" Properties=species:S:1:pos:R:3 pbc="T T T"
Li 4.004 3.822 0.294
Li 8.021 5.953 10.667
Li 3.162 8.809 10.717
Li 9.614 4.274 5.622
Li 8.894 1.094 0.319
Li 9.683 7.045 4.983
Li 5.028 0.383 5.458
Li 8.533 8.860 10.404
Fe 7.592 4.035 3.507
Fe 2.810 7.833 1.950
Fe 2.759 0.897 3.609
Fe 9.271 2.124 9.059
Fe 9.271 9.124 7.285
Fe 4.400 5.743 7.272
Fe 4.380 2.943 9.045
Fe 7.688 6.921 1.968
O 4.091 2.113 4.471
O 3.219 1.933 7.832
O 9.263 1.524 10.955
O 6.255 8.286 1.752
O 8.941 5.278 2.411
O 9.840 8.174 9.041
O 7.592 4.278 9.861
O 9.299 9.207 1.177
O 6.339 5.738 2.909
O 8.917 0.693 5.890
O 7.583 6.606 0.040
O 3.187 7.078 6.555
O 8.124 7.705 6.554
O 2.397 7.345 9.925
O 8.145 5.581 5.229
O 8.895 2.829 4.458
O 10.764 8.326 6.174
O 5.649 9.029 8.712
O 4.007 6.860 3.133
O 0.989 5.618 4.211
O 9.092 0.589 3.371
O 7.084 3.159 1.884
O 1.463 9.041 2.915
O 4.522 5.462 1.136
O 1.293 1.517 4.722
O 5.834 1.640 9.282
O 1.354 6.535 1.826
O 6.192 3.471 4.695
O 4.792 2.363 1.061
O 10.566 0.898 8.098
O 5.925 6.431 6.224
O 10.716 3.384 9.304
O 7.764 5.543 7.722
O 6.365 0.863 2.342
O 4.097 9.480 2.436
O 5.739 4.095 8.090
O 5.054 6.643 8.971
O 4.420 3.370 10.956
O 3.091 4.605 8.538
O 9.672 2.533 1.117
O 10.525 5.802 8.724
O 10.896 4.180 6.885
O 1.518 4.109 2.301
O 2.657 0.633 9.875
O 8.902 7.889 3.252
O 6.102 0.828 6.868
O 4.087 4.269 5.895
O 2.233 1.783 1.981
O 5.947 9.099 4.202
O 2.845 9.247 7.688
O 3.213 9.278 5.197
O 7.936 0.352 8.632
O 4.253 4.359 3.367
O 8.113 3.043 7.779
O 2.711 8.166 0.028
O 7.232 7.534 9.993
P 5.639 9.306 2.763
P 7.269 4.183 8.393
P 6.388 0.584 8.302
P 10.689 7.055 9.705
P 4.659 3.530 4.705
P 9.499 1.429 4.695
P 6.221 2.043 1.269
P 2.381 0.780 8.406
P 4.787 5.646 2.602
P 9.648 9.103 2.636
P 2.576 8.450 6.304
P 1.379 2.857 1.288
P 5.776 7.767 9.700
P 7.434 6.347 6.352
P 0.766 5.442 2.738
P 11.273 4.428 8.295
```



Compound: Li2FeP2O7
Source: the Materials Project database
Functional: PBE with a Hubbard U
Structure: relaxed

formation enthalpy at 0 K	-2.55	eV/atom
raw total energy	-6.77	eV/atom
space group	No. 1
spin magnetization	0.3333	μB/atom

```
48
Lattice="1.051 -2.102 6.152 -0.256 -7.518 -5.487 9.366 4.613 0.268" Properties=species:S:1:pos:R:3 pbc="T T T"
O 0.921 -3.639 2.007
O 2.654 -0.712 -1.202
O 4.378 -2.481 -1.336
O 0.872 -2.112 4.094
O 4.963 -0.254 3.184
O 0.821 -5.072 -3.349
O 7.901 0.780 0.217
O 2.186 -5.773 0.774
O 3.614 -4.574 3.064
O 2.012 -3.121 -0.689
O 2.064 -6.883 -2.142
O 8.042 -1.772 1.574
O 3.398 -1.757 1.889
O 1.976 -8.298 0.541
O 7.059 0.297 5.590
O 9.370 0.114 4.423
O 6.451 -0.310 -2.129
O 4.741 -4.449 0.232
O 8.089 1.896 3.183
O 5.331 -0.543 0.674
O 5.183 -4.732 -2.270
O 7.572 -4.195 2.174
O 3.064 -5.235 -4.602
O 6.688 -3.200 -0.943
O 5.728 -2.513 2.242
O 9.273 -2.859 -3.043
O 8.130 3.294 0.544
O 9.239 -1.267 -0.986
P 0.630 -6.435 -2.453
P 7.315 -2.718 2.542
P 2.606 -7.122 1.311
P 9.529 1.460 3.488
P 4.843 -1.198 1.959
P 7.508 2.158 -0.277
P 2.813 -2.192 -1.625
P 5.258 -3.792 -1.040
Li 9.035 -4.431 0.649
Li 4.750 0.830 -0.600
Li 1.320 -0.581 0.476
Li 6.469 0.970 3.659
Li 9.579 -0.574 1.129
Li 0.401 -3.846 -1.652
Li 5.474 -5.915 1.331
Li 3.671 -5.954 -2.805
Fe 2.774 -1.265 3.960
Fe 2.899 -3.833 1.252
Fe 7.157 -1.137 -0.354
Fe 7.350 -3.708 -2.942
```



Compound: LiFe5P8O28
Source: the Materials Project database
Functional: PBE with a Hubbard U
Structure: relaxed

formation enthalpy at 0 K	-2.39	eV/atom
raw total energy	-7.05	eV/atom
space group	No. 2
spin magnetization	0.1190	μB/atom

```
84
Lattice="-9.018 -2.437 -1.480 2.058 4.998 9.268 1.638 11.444 -5.320" Properties=species:S:1:pos:R:3 pbc="T T T"
O 1.154 9.176 -2.674
O -5.072 4.649 -1.822
O -4.839 10.831 2.619
O -1.461 3.705 2.165
O -2.000 4.344 -2.423
O -2.569 5.220 5.296
O -4.611 3.062 4.866
O -5.004 7.624 -3.247
O -2.104 11.074 2.874
O -1.999 2.494 4.253
O -6.767 2.964 3.497
O -3.218 2.931 -0.406
O -4.481 10.270 -4.479
O -2.378 7.647 6.144
O -5.882 9.107 1.099
O -3.323 9.660 4.891
O -3.428 6.892 -1.301
O -5.311 12.255 -0.279
O -1.894 7.113 3.769
O 1.548 10.779 5.227
O -3.974 1.170 1.330
O -4.237 5.630 0.920
O -0.841 3.735 6.947
O -0.318 6.381 5.714
O -1.378 13.356 3.598
O 0.837 7.391 0.205
O -4.972 4.615 3.025
O 1.444 11.041 -1.030
O -6.160 6.614 2.262
O -2.754 8.784 -2.829
O -0.251 9.356 4.289
O -1.251 10.281 -5.063
O -2.944 6.358 -3.676
O -5.955 8.566 -5.557
O -1.086 8.375 1.547
O -3.862 10.299 0.303
O -5.666 2.188 -0.292
O 0.633 5.439 8.024
O -3.596 8.661 2.163
O -5.455 10.182 -1.687
O 0.560 4.897 1.369
O -6.495 4.472 0.941
O -4.071 3.723 7.531
O -0.712 10.943 -2.398
O -6.870 3.226 -2.760
O -1.349 12.835 1.138
O -6.476 4.829 5.141
O 0.133 3.823 4.155
O -3.944 0.649 -1.130
O -0.011 1.749 2.747
O -0.483 3.173 -0.152
O -0.350 9.390 -0.558
O -1.727 5.343 0.304
O 1.173 9.533 1.527
O -3.323 11.511 -1.786
O 0.343 11.817 2.759
Fe -3.419 4.967 -0.745
Fe -2.376 10.633 -3.426
Fe -2.946 3.372 5.894
Fe -6.070 9.491 -3.318
Fe 1.679 10.462 3.177
Fe -1.903 9.038 3.213
Fe -6.161 6.560 -5.054
Fe -7.001 3.543 -0.709
Fe 0.839 7.445 7.522
Fe 0.748 4.514 5.785
P 0.194 10.174 5.530
P -0.674 4.602 8.222
P -3.550 7.486 -2.702
P -4.237 1.807 -0.036
P -1.086 12.198 2.503
P -0.737 4.310 0.851
P -4.649 9.403 -5.755
P -4.526 11.119 -0.917
P -5.535 5.360 1.700
P -1.772 6.518 5.170
P 0.422 10.156 -1.728
P -4.585 9.694 1.617
P -0.796 2.886 3.385
P -5.516 3.831 -3.062
P 0.213 8.645 0.767
P -5.745 3.849 4.195
Li -3.480 1.280 3.894
Li -2.661 7.002 1.234
```



Compound: Li2FeP2O7
Source: the Materials Project database
Functional: PBE with a Hubbard U
Structure: relaxed

formation enthalpy at 0 K	-2.54	eV/atom
raw total energy	-6.76	eV/atom
space group	No. 15
spin magnetization	0.3333	μB/atom

```
48
Lattice="-5.740 -2.064 -4.508 -4.472 -5.469 2.761 -6.419 7.579 4.845" Properties=species:S:1:pos:R:3 pbc="T T T"
O -11.193 4.223 0.480
O -10.521 5.149 2.745
O -4.318 1.089 2.013
O -8.601 -0.352 5.049
O -8.523 2.086 4.325
O -5.871 -0.355 -0.846
O -2.922 -0.273 -0.280
O -10.566 -3.480 0.896
O -11.313 1.788 1.195
O -10.760 0.401 3.944
O -7.057 0.356 3.163
O -7.588 -3.381 1.513
O -9.574 -0.309 -0.065
O -12.799 3.519 2.325
O -9.294 -1.345 2.811
O -7.337 1.391 0.287
O -9.143 -4.900 -1.296
O -8.108 -2.040 -1.226
O -6.066 3.526 2.202
O -5.319 -1.742 1.904
O -5.439 -4.177 2.618
O -8.031 0.398 -1.951
O -6.110 -5.103 0.354
O -3.833 -3.473 0.774
O -13.710 0.319 3.378
O -7.488 4.947 4.394
O -9.044 3.427 1.585
O -12.313 -1.043 1.085
P -4.430 -2.995 2.125
P -9.014 -0.797 -1.429
P -6.712 -4.646 1.711
P -6.757 0.900 -1.067
P -12.202 3.041 0.973
P -9.920 4.692 1.387
P -7.618 0.843 4.527
P -9.875 -0.854 4.166
Li -12.074 0.330 2.392
Li -6.136 1.646 1.904
Li -7.731 3.533 3.135
Li -8.900 -3.487 -0.037
Li -7.296 -5.367 -1.266
Li -4.558 -0.283 0.706
Li -9.335 5.413 4.365
Li -10.496 -1.600 1.194
Fe -9.331 1.575 0.736
Fe -6.110 -2.206 -1.684
Fe -7.301 -1.529 2.362
Fe -10.522 2.252 4.783
```



Compound: Li5Fe4P4O16
Source: the Materials Project database
Functional: PBE with a Hubbard U
Structure: relaxed

formation enthalpy at 0 K	-2.38	eV/atom
raw total energy	-6.66	eV/atom
space group	No. 9
spin magnetization	0.5172	μB/atom

```
58
Lattice="5.128 6.741 0.000 -5.128 6.741 0.000 0.000 0.000 10.388" Properties=species:S:1:pos:R:3 pbc="T T T"
O -2.253 9.405 1.622
O -0.685 1.486 6.321
O 2.323 6.870 6.844
O 0.335 5.876 3.445
O -0.696 8.208 6.348
O -3.238 4.816 9.119
O -2.622 8.109 9.813
O -2.685 8.126 4.679
O 0.696 8.208 1.154
O 0.070 11.360 0.526
O 2.253 9.405 6.815
O -0.196 3.309 8.803
O 0.039 4.742 5.695
O 0.244 12.923 3.748
O -0.039 4.741 0.501
O 0.685 1.486 1.127
O -0.244 12.923 8.941
O 3.238 4.816 3.925
O 1.858 4.750 9.137
O -2.886 9.385 6.860
O 0.196 3.309 3.609
O 2.694 6.823 1.682
O -0.070 11.360 5.719
O 2.886 9.385 1.666
O 0.244 10.352 3.432
O -0.335 5.876 8.639
O -0.244 10.352 8.626
O 2.685 8.126 9.873
O 2.622 8.109 4.620
O -1.858 4.750 3.943
O -2.323 6.870 1.650
O -2.694 6.823 6.876
Li 0.279 1.278 9.518
Li 0.303 9.859 6.785
Li -2.897 6.412 3.574
Li -0.303 9.859 1.591
Li -2.231 6.407 8.712
Li 0.321 3.101 6.795
Li -0.279 1.278 4.325
Li 2.897 6.412 8.768
Li 2.231 6.407 3.518
Li -0.321 3.101 1.601
P 0.328 4.685 9.383
P -0.352 11.561 4.234
P -0.328 4.685 4.189
P 2.900 8.148 6.169
P 2.255 8.127 0.998
P 0.352 11.561 9.428
P -2.255 8.127 6.192
P -2.900 8.148 0.975
Fe 2.170 9.825 3.551
Fe -2.170 9.825 8.745
Fe -2.323 3.081 8.780
Fe -0.290 6.473 1.545
Fe 0.290 6.473 6.738
Fe -4.769 6.350 6.811
Fe 2.323 3.081 3.586
Fe 4.769 6.350 1.617
```